[1]
Material: Tc3Os
Method: DFT, PBE
State: optimized geometry

Lattice parameters (Å, degrees): 2.7644 2.7644 8.7681 90.00 90.00 120.00
Last column: nearest neighbours and their distance in Å.
Element x y z (fractional)
1 Tc 0.6667 0.3333 0.5000  12 Tc 2.72-2.76
2 Tc 0.3333 0.6667 0.2490  3 Os 2.70, 9 Tc 2.72-2.76
3 Tc 0.3333 0.6667 0.7510  3 Os 2.70, 9 Tc 2.72-2.76
4 Os 0.6667 0.3333 0.0000  6 Tc 2.70, 6 Os 2.76

Calculated values
Its space group is P-6m2 (187). As for the energy above the most stable polymorph in this dataset: 0.019 eV/atom.

[2]
Material: BaReO3
Method: DFT, PBE
State: optimized geometry

Lattice parameters (Å, degrees): 4.0647 4.0647 4.0647 90.00 90.00 90.00
Last column: nearest neighbours and their distance in Å.
Element x y z (fractional)
1 Ba 0.0000 0.0000 0.0000  12 O 2.87
2 Re 0.5000 0.5000 0.5000  6 O 2.03
3 O 0.5000 0.5000 0.0000  2 Re 2.03
4 O 0.5000 0.0000 0.5000  2 Re 2.03
5 O 0.0000 0.5000 0.5000  2 Re 2.03

Calculated values
Its space group is Pm-3m (221).

[3]
Material: Te4Mo3WSe2S2
Method: DFT, PBE
State: optimized geometry

Lattice parameters (Å, degrees): 3.3989 3.3989 40.0160 90.00 90.00 120.00
Last column: nearest neighbours and their distance in Å.
Element x y z (fractional)
1 Te 0.0000 0.0000 0.7055  3 Mo 2.71
2 Te 0.3333 0.6667 0.4219  3 Mo 2.72
3 Te 0.3333 0.6667 0.5157  3 Mo 2.71
4 Te 0.0000 0.0000 0.6117  3 Mo 2.72
5 Mo 0.0000 0.0000 0.0940  6 S 2.47
6 Mo 0.0000 0.0000 0.4688  6 Te 2.71-2.72
7 Mo 0.3333 0.6667 0.6586  6 Te 2.71-2.72
8 W 0.3333 0.6667 0.2814  6 Se 2.57
9 Se 0.0000 0.0000 0.3228  3 W 2.57
10 Se 0.0000 0.0000 0.2401  3 W 2.57
11 S 0.3333 0.6667 0.0565  3 Mo 2.47
12 S 0.3333 0.6667 0.1316  3 Mo 2.47

Calculated values
Its space group is P3m1 (156). As for the energy above the most stable polymorph in this dataset: 0.016 eV/atom.

[4]
Material: ZnN
Method: DFT, PBE
State: optimized geometry

Lattice parameters (Å, degrees): 2.7085 2.7085 2.7085 90.00 90.00 90.00
Last column: nearest neighbours and their distance in Å.
Element x y z (fractional)
1 Zn 0.0000 0.0000 0.0000  8 N 2.35
2 N 0.5000 0.5000 0.5000  8 Zn 2.35

Calculated values
Its space group is Pm-3m (221). As for the energy above the most stable polymorph in this dataset: 0.552 eV/atom.

[5]
Material: SmCuGe
Method: DFT, PBE
State: optimized geometry

Lattice parameters (Å, degrees): 4.2697 4.2697 3.8616 90.00 90.00 120.00
Last column: nearest neighbours and their distance in Å.
Element x y z (fractional)
1 Sm 0.3333 0.6667 0.0000  6 Cu 3.13, 6 Ge 3.13
2 Cu 0.6667 0.3333 0.5000  3 Ge 2.47
3 Ge 0.0000 0.0000 0.5000  3 Cu 2.47

Calculated values
Its space group is P-6m2 (187).

[6]
Material: RbPH2O2
Method: DFT, PBE
State: optimized geometry

Lattice parameters (Å, degrees): 6.4522 7.7203 8.2742 90.00 90.00 90.00
Last column: nearest neighbours and their distance in Å.
Element x y z (fractional)
1 Rb 0.2500 0.3611 0.1315  6 O 2.91-3.11
2 Rb 0.7500 0.6389 0.8685  6 O 2.91-3.11
3 Rb 0.7500 0.8611 0.3685  6 O 2.91-3.11
4 Rb 0.2500 0.1389 0.6315  6 O 2.91-3.11
5 P 0.7500 0.1745 0.8785  2 H 1.43, 2 O 1.52
6 P 0.2500 0.8255 0.1215  2 H 1.43, 2 O 1.52
7 P 0.2500 0.6745 0.6215  2 H 1.43, 2 O 1.52
8 P 0.7500 0.3255 0.3785  2 H 1.43, 2 O 1.52
9 H 0.7500 0.0591 0.7430  1 P 1.43
10 H 0.2500 0.9409 0.2570  1 P 1.43
11 H 0.2500 0.5591 0.7570  1 P 1.43
12 H 0.7500 0.4409 0.2430  1 P 1.43
13 H 0.7500 0.0544 0.0103  1 P 1.43
14 H 0.2500 0.9456 0.9897  1 P 1.43
15 H 0.2500 0.5544 0.4897  1 P 1.43
16 H 0.7500 0.4456 0.5103  1 P 1.43
17 O 0.5470 0.2258 0.3792  1 P 1.52
18 O 0.0470 0.7742 0.6208  1 P 1.52
19 O 0.4530 0.7258 0.1208  1 P 1.52
20 O 0.9530 0.2742 0.8792  1 P 1.52
21 O 0.4530 0.7742 0.6208  1 P 1.52
22 O 0.9530 0.2258 0.3792  1 P 1.52
23 O 0.5470 0.2742 0.8792  1 P 1.52
24 O 0.0470 0.7258 0.1208  1 P 1.52

Calculated values
Its space group is Pnma (62).

Number 1: energy of formation -0.04 eV/atom. Number 2: energy of formation -2.37 eV/atom. Number 3: energy of formation -0.52 eV/atom. Number 4: energy of formation 0.99 eV/atom. Number 5: energy of formation -0.63 eV/atom. Number 6: energy of formation -1.56 eV/atom.